# 1
# CoO2

An optimized crystal structure of CoO2 (PBE+U, Materials Project).

MP2020-corrected energy, eV per atom: -6.7236
Calculated volume, Å³/atom: 9.9
Energy relative to the elements, kJ/mol of atoms: -101.8
ρ, kg/m3: 5105
E_tot, eV per cell: -137.27

Cell lengths 8.309, 2.869, 9.926 Å; angles 90.00, 90.00, 90.00 degrees
Sites, in units of the cell vectors:
Co  0.053  0.250  0.116
Co  0.088  0.250  0.601
Co  0.412  0.750  0.101
Co  0.447  0.750  0.616
Co  0.553  0.250  0.384
Co  0.588  0.250  0.899
Co  0.912  0.750  0.399
Co  0.947  0.750  0.884
O  0.037  0.750  0.714
O  0.086  0.250  0.931
O  0.116  0.750  0.478
O  0.194  0.750  0.148
O  0.306  0.250  0.648
O  0.384  0.250  0.978
O  0.414  0.750  0.431
O  0.463  0.250  0.214
O  0.537  0.750  0.786
O  0.586  0.250  0.569
O  0.616  0.750  0.022
O  0.694  0.750  0.352
O  0.806  0.250  0.852
O  0.884  0.250  0.522
O  0.914  0.750  0.069
O  0.963  0.250  0.286

---

# 2
# CoO2

An optimized crystal structure of CoO2 (PBE+U, Materials Project).

MP2020-corrected energy, eV per atom: -6.6756
Calculated volume, Å³/atom: 17.3
Energy relative to the elements, kJ/mol of atoms: -97.2
ρ, kg/m3: 2918
E_tot, eV per cell: -34.03

Cell lengths 2.910, 2.911, 14.078 Å; angles 85.15, 84.71, 60.78 degrees
Sites, in units of the cell vectors:
Co  0.000  0.000  0.000
Co  0.500  0.500  0.500
O  0.172  0.218  0.431
O  0.277  0.333  0.069
O  0.723  0.667  0.931
O  0.828  0.782  0.569

---

# 3
# CoO2

An optimized crystal structure of CoO2 (PBE+U, Materials Project).

MP2020-corrected energy, eV per atom: -6.7364
Calculated volume, Å³/atom: 11.2
Energy relative to the elements, kJ/mol of atoms: -103.1
ρ, kg/m3: 4474
E_tot, eV per cell: -68.79

Cell lengths 2.817, 2.847, 19.200 Å; angles 87.22, 86.95, 61.44 degrees
Sites, in units of the cell vectors:
Co  0.000  0.000  0.000
Co  0.250  0.249  0.251
Co  0.500  0.499  0.501
Co  0.750  0.749  0.751
O  0.071  0.075  0.800
O  0.179  0.174  0.452
O  0.321  0.324  0.047
O  0.429  0.424  0.702
O  0.572  0.518  0.304
O  0.679  0.675  0.953
O  0.821  0.825  0.549
O  0.929  0.980  0.198

---

# 4
# CoO2

An optimized crystal structure of CoO2 (PBE+U, Materials Project).

MP2020-corrected energy, eV per atom: -6.6086
Calculated volume, Å³/atom: 12.0
Energy relative to the elements, kJ/mol of atoms: -90.7
ρ, kg/m3: 4206
E_tot, eV per cell: -33.63

Cell lengths 10.513, 10.513, 10.513 Å; angles 15.45, 15.45, 15.45 degrees
Sites, in units of the cell vectors:
Co  0.000  0.000  0.000
Co  0.500  0.500  0.500
O  0.136  0.136  0.136
O  0.303  0.303  0.303
O  0.697  0.697  0.697
O  0.864  0.864  0.864

---

# 5
# Co3O4

An optimized crystal structure of Co3O4 (PBE+U, Materials Project).

MP2020-corrected energy, eV per atom: -7.0850
Distance to the lowest polymorph of the same formula, meV/atom: 90
Calculated volume, Å³/atom: 10.5
Energy relative to the elements, kJ/mol of atoms: -116.9
ρ, kg/m3: 5450
E_tot, eV per cell: -83.87

Cell lengths 5.860, 5.860, 5.860 Å; angles 118.40, 117.07, 93.97 degrees
Sites, in units of the cell vectors:
Co  0.000  0.000  0.000
Co  0.000  0.000  0.500
Co  0.000  0.500  0.000
Co  0.380  0.630  0.750
Co  0.500  0.000  0.500
Co  0.620  0.370  0.250
O  0.218  0.235  0.983
O  0.239  0.219  0.480
O  0.239  0.759  0.020
O  0.248  0.765  0.483
O  0.752  0.235  0.517
O  0.761  0.241  0.980
O  0.761  0.781  0.520
O  0.782  0.765  0.017

---

# 6
# Co21O40

An optimized crystal structure of Co21O40 (PBE+U, Materials Project).

MP2020-corrected energy, eV per atom: -6.7499
Calculated volume, Å³/atom: 10.6
Energy relative to the elements, kJ/mol of atoms: -102.1
ρ, kg/m3: 4834
E_tot, eV per cell: -349.87

Cell lengths 9.830, 9.830, 9.830 Å; angles 99.53, 99.53, 131.98 degrees
Sites, in units of the cell vectors:
Co  0.000  0.000  0.000
Co  0.030  0.675  0.949
Co  0.121  0.376  0.250
Co  0.125  0.871  0.750
Co  0.129  0.879  0.254
Co  0.227  0.076  0.553
Co  0.325  0.275  0.355
Co  0.326  0.773  0.849
Co  0.327  0.275  0.852
Co  0.423  0.475  0.148
Co  0.523  0.674  0.447
Co  0.525  0.673  0.948
Co  0.526  0.177  0.453
Co  0.624  0.875  0.746
Co  0.724  0.073  0.547
Co  0.725  0.080  0.051
Co  0.725  0.577  0.052
Co  0.823  0.276  0.349
Co  0.920  0.970  0.645
Co  0.924  0.477  0.151
Co  0.927  0.474  0.651
O  0.052  0.499  0.331
O  0.079  0.024  0.838
O  0.080  0.544  0.845
O  0.106  0.040  0.362
O  0.147  0.717  0.145
O  0.167  0.720  0.669
O  0.174  0.206  0.660
O  0.186  0.241  0.162
O  0.256  0.894  0.934
O  0.280  0.948  0.447
O  0.283  0.428  0.430
O  0.301  0.434  0.954
O  0.348  0.117  0.750
O  0.367  0.598  0.250
O  0.372  0.130  0.274
O  0.402  0.652  0.769
O  0.456  0.301  0.536
O  0.480  0.347  0.046
O  0.486  0.826  0.032
O  0.501  0.833  0.553
O  0.546  0.514  0.340
O  0.566  0.520  0.867
O  0.572  0.002  0.855
O  0.594  0.054  0.367
O  0.653  0.699  0.133
O  0.678  0.744  0.638
O  0.687  0.227  0.633
O  0.699  0.235  0.155
O  0.759  0.921  0.945
O  0.765  0.920  0.464
O  0.773  0.406  0.460
O  0.794  0.454  0.968
O  0.856  0.098  0.726
O  0.870  0.144  0.242
O  0.883  0.633  0.231
O  0.902  0.628  0.758
O  0.946  0.313  0.540
O  0.960  0.322  0.066
O  0.976  0.814  0.055
O  0.998  0.853  0.570

---

# 7
# CoO2

An optimized crystal structure of CoO2 (PBE+U, Materials Project).

MP2020-corrected energy, eV per atom: -6.7405
Calculated volume, Å³/atom: 11.2
Energy relative to the elements, kJ/mol of atoms: -103.5
ρ, kg/m3: 4490
E_tot, eV per cell: -34.42

Cell lengths 2.817, 4.941, 4.831 Å; angles 90.12, 90.00, 90.00 degrees
Sites, in units of the cell vectors:
Co  0.000  0.000  0.000
O  0.000  0.667  0.806
O  0.500  0.167  0.806
O  0.500  0.833  0.194
O  0.000  0.333  0.194
Co  0.500  0.500  0.000

---

# 8
# CoO2

An optimized crystal structure of CoO2 (PBE+U, Materials Project).

MP2020-corrected energy, eV per atom: -6.3388
Calculated volume, Å³/atom: 76.9
Energy relative to the elements, kJ/mol of atoms: -64.7
ρ, kg/m3: 654
E_tot, eV per cell: -16.00

Cell lengths 26.103, 26.103, 3.330 Å; angles 90.00, 90.00, 174.16 degrees
Sites, in units of the cell vectors:
Co  0.000  0.000  0.000
O  0.477  0.523  0.000
O  0.523  0.477  0.000

---

# 9
# CoO2

An optimized crystal structure of CoO2 (PBE+U, Materials Project).

MP2020-corrected energy, eV per atom: -6.5849
Calculated volume, Å³/atom: 12.3
Energy relative to the elements, kJ/mol of atoms: -88.5
ρ, kg/m3: 4077
E_tot, eV per cell: -33.49

Cell lengths 10.650, 2.833, 2.833 Å; angles 60.08, 90.00, 90.00 degrees
Sites, in units of the cell vectors:
Co  0.248  0.250  0.750
Co  0.752  0.750  0.250
O  0.159  0.583  0.083
O  0.337  0.917  0.417
O  0.663  0.417  0.917
O  0.841  0.083  0.583

---

# 10
# CoO2

An optimized crystal structure of CoO2 (PBE+U, Materials Project).

MP2020-corrected energy, eV per atom: -6.5846
Calculated volume, Å³/atom: 20.7
Energy relative to the elements, kJ/mol of atoms: -88.4
ρ, kg/m3: 2430
E_tot, eV per cell: -33.48

Cell lengths 2.855, 2.855, 16.746 Å; angles 90.00, 90.00, 114.43 degrees
Sites, in units of the cell vectors:
Co  0.000  0.000  0.000
Co  0.500  0.500  0.500
O  0.190  0.810  0.558
O  0.310  0.690  0.058
O  0.690  0.310  0.942
O  0.810  0.190  0.442

---

# 11
# CoO2

An optimized crystal structure of CoO2 (PBE+U, Materials Project).

MP2020-corrected energy, eV per atom: -6.0515
Calculated volume, Å³/atom: 12.4
Energy relative to the elements, kJ/mol of atoms: -37.0
ρ, kg/m3: 4066
E_tot, eV per cell: -495.50

Cell lengths 9.803, 10.682, 10.707 Å; angles 85.09, 86.50, 87.37 degrees
Sites, in units of the cell vectors:
Co  0.000  0.000  0.000
Co  0.003  0.558  0.515
Co  0.054  0.271  0.640
Co  0.120  0.325  0.316
Co  0.159  0.527  0.803
Co  0.179  0.292  0.953
Co  0.204  0.700  0.301
Co  0.219  0.866  0.753
Co  0.249  0.922  0.488
Co  0.254  0.026  0.255
Co  0.282  0.183  0.505
Co  0.319  0.620  0.568
Co  0.393  0.474  0.030
Co  0.422  0.465  0.328
Co  0.462  0.246  0.203
Co  0.512  0.831  0.400
Co  0.545  0.752  0.668
Co  0.593  0.020  0.169
Co  0.643  0.236  0.629
Co  0.666  0.031  0.488
Co  0.718  0.888  0.952
Co  0.724  0.579  0.982
Co  0.731  0.200  0.939
Co  0.755  0.346  0.162
Co  0.868  0.393  0.798
Co  0.895  0.996  0.640
Co  0.929  0.710  0.819
Co  0.971  0.111  0.329
Co  0.974  0.849  0.301
Co  0.984  0.611  0.095
O  0.031  0.721  0.416
O  0.044  0.455  0.381
O  0.051  0.377  0.066
O  0.051  0.619  0.915
O  0.065  0.357  0.815
O  0.080  0.730  0.181
O  0.084  0.216  0.463
O  0.099  0.901  0.872
O  0.099  0.973  0.355
O  0.101  0.440  0.153
O  0.107  0.150  0.975
O  0.129  0.175  0.231
O  0.157  0.552  0.632
O  0.203  0.955  0.101
O  0.226  0.787  0.599
O  0.234  0.015  0.618
O  0.256  0.280  0.623
O  0.285  0.428  0.896
O  0.293  0.675  0.817
O  0.294  0.581  0.401
O  0.299  0.893  0.049
O  0.323  0.303  0.344
O  0.328  0.844  0.331
O  0.335  0.061  0.408
O  0.339  0.315  0.077
O  0.357  0.146  0.843
O  0.363  0.546  0.169
O  0.395  0.634  0.733
O  0.408  0.089  0.174
O  0.418  0.902  0.756
O  0.458  0.425  0.530
O  0.474  0.863  0.869
O  0.476  0.181  0.834
O  0.476  0.693  0.515
O  0.552  0.528  0.965
O  0.565  0.367  0.252
O  0.570  0.403  0.591
O  0.573  0.180  0.490
O  0.599  0.881  0.084
O  0.602  0.798  0.837
O  0.609  0.977  0.332
O  0.614  0.868  0.534
O  0.625  0.600  0.305
O  0.627  0.191  0.103
O  0.636  0.717  0.296
O  0.707  0.066  0.650
O  0.712  0.601  0.603
O  0.723  0.278  0.775
O  0.808  0.640  0.528
O  0.809  0.527  0.127
O  0.810  0.034  0.933
O  0.815  0.562  0.820
O  0.817  0.338  0.977
O  0.831  0.740  0.974
O  0.860  0.229  0.277
O  0.862  0.010  0.453
O  0.894  0.833  0.698
O  0.924  0.964  0.177
O  0.928  0.411  0.627
O  0.980  0.124  0.696

---

# 12
# CoO2

An optimized crystal structure of CoO2 (PBE+U, Materials Project).

MP2020-corrected energy, eV per atom: -6.6289
Calculated volume, Å³/atom: 10.8
Energy relative to the elements, kJ/mol of atoms: -92.7
ρ, kg/m3: 4648
E_tot, eV per cell: -67.50

Cell lengths 5.711, 5.711, 5.711 Å; angles 59.41, 59.41, 59.41 degrees
Sites, in units of the cell vectors:
Co  0.000  0.000  0.000
Co  0.134  0.617  0.618
Co  0.618  0.134  0.618
Co  0.618  0.618  0.134
O  0.374  0.374  0.822
O  0.374  0.822  0.374
O  0.386  0.386  0.386
O  0.392  0.882  0.882
O  0.822  0.374  0.374
O  0.863  0.863  0.863
O  0.882  0.392  0.882
O  0.882  0.882  0.392